Entry 1:
{"formula": "Te2MoW3Se4S2", "functional": "PBE", "state": "relaxed", "formation_energy_ev_per_atom": -0.557, "lattice_angstrom": [[-1.259, 2.472, 1.869], [-1.386, -3.043, 0.098], [23.329, -9.706, 28.550]], "species": ["W", "W", "W", "S", "S", "Se", "Se", "Se", "Se", "Te", "Te", "Mo"], "frac_coords": [[0.333, 0.667, 0.282], [0.000, 0.000, 0.470], [0.333, 0.667, 0.658], [0.333, 0.667, 0.134], [0.333, 0.667, 0.054], [0.000, 0.000, 0.326], [0.000, 0.000, 0.238], [0.333, 0.667, 0.426], [0.333, 0.667, 0.514], [0.000, 0.000, 0.708], [0.000, 0.000, 0.608], [0.000, 0.000, 0.094]]}

***

Entry 2:
{"formula": "TeMoWSe2S", "functional": "PBE", "state": "relaxed", "formation_energy_ev_per_atom": -0.587, "lattice_angstrom": [[1.673, -2.897, 0.000], [1.673, 2.897, 0.000], [0.000, 0.000, 39.746]], "species": ["W", "W", "Se", "Se", "Se", "Se", "Te", "Te", "Mo", "Mo", "S", "S"], "frac_coords": [[0.667, 0.333, 0.658], [0.333, 0.667, 0.469], [0.333, 0.667, 0.323], [0.333, 0.667, 0.616], [0.333, 0.667, 0.701], [0.333, 0.667, 0.239], [0.667, 0.333, 0.517], [0.667, 0.333, 0.421], [0.333, 0.667, 0.094], [0.667, 0.333, 0.281], [0.667, 0.333, 0.056], [0.667, 0.333, 0.132]]}

***

Mass density for every record listed, in sequence, given in g/cm3: 5.8; 5.2.